VASP calculation (PBE) on an optimized crystal structure of Al12PbO19.

CIF file:
```
data_Al12PbO19
_chemical_formula_sum 'Al24 Pb2 O38'
_cell_length_a 5.6303
_cell_length_b 5.6303
_cell_length_c 22.2468
_cell_angle_alpha 90.00
_cell_angle_beta 90.00
_cell_angle_gamma 120.00
_symmetry_space_group_name_H-M 'P 63 m c'
_symmetry_Int_Tables_number 186
_symmetry_space_group_name_Hall 'P 6c -2c'
loop_
_atom_site_label
_atom_site_type_symbol
_atom_site_fract_x
_atom_site_fract_y
_atom_site_fract_z
Al1 Al 0.0000 0.0000 0.0000
Al2 Al 0.0000 0.0000 0.2415
Al3 Al 0.1676 0.3352 0.3500
Al4 Al 0.1690 0.3381 0.6333
Al5 Al 0.3333 0.6667 0.0510
Al6 Al 0.3333 0.6667 0.2131
Al7 Al 0.3333 0.6667 0.7697
Al8 Al 0.3333 0.6667 0.9315
Pb1 Pb 0.3333 0.6667 0.4899
O1 O 0.0000 0.0000 0.0915
O2 O 0.0000 0.0000 0.3883
O3 O 0.0026 0.5013 0.3887
O4 O 0.0030 0.5015 0.5942
O5 O 0.1545 0.3090 0.1892
O6 O 0.1553 0.3106 0.7924
O7 O 0.1816 0.3632 0.9920
O8 O 0.3333 0.6667 0.2954
O9 O 0.3333 0.6667 0.6872
```

VASP calculation (PBE) on an optimized crystal structure of K2TlPCO7.

CIF file:
```
data_K2TlPCO7
_chemical_formula_sum 'K4 Tl2 P2 C2 O14'
_cell_length_a 5.605
_cell_length_b 7.253
_cell_length_c 9.941
_cell_angle_alpha 90.00
_cell_angle_beta 91.25
_cell_angle_gamma 90.00
_symmetry_space_group_name_H-M 'P 1 21/m 1'
_symmetry_Int_Tables_number 11
loop_
_symmetry_equiv_pos_as_xyz
'x,y,z'
'-x,-y,-z'
'-x,y+1/2,-z'
'x,-y+1/2,z'
loop_
_atom_site_label
_atom_site_type_symbol
_atom_site_fract_x
_atom_site_fract_y
_atom_site_fract_z
K1 K 0.240 0.017 0.226
Tl1 Tl 0.230 0.250 0.630
P1 P 0.285 0.750 0.575
C1 C 0.272 0.250 0.906
O1 O 0.062 0.250 0.844
O2 O 0.168 0.750 0.430
O3 O 0.215 0.576 0.656
O4 O 0.297 0.250 0.032
O5 O 0.433 0.250 0.442
O6 O 0.459 0.250 0.826
```

# Li5BO4 PBE optimized geometry
data_Li5BO4
_chemical_formula_sum 'Li40 B8 O32'
_cell_length_a 8.504
_cell_length_b 8.878
_cell_length_c 8.789
_cell_angle_alpha 90.00
_cell_angle_beta 90.00
_cell_angle_gamma 90.00
_symmetry_space_group_name_H-M 'P b c a'
_symmetry_Int_Tables_number 61
loop_
_symmetry_equiv_pos_as_xyz
'x,y,z'
'-x,-y,-z'
'-x+1/2,-y,z+1/2'
'x+1/2,y,-z+1/2'
'x+1/2,-y+1/2,-z'
'-x+1/2,y+1/2,z'
'-x,y+1/2,-z+1/2'
'x,-y+1/2,z+1/2'
loop_
_atom_site_label
_atom_site_type_symbol
_atom_site_fract_x
_atom_site_fract_y
_atom_site_fract_z
Li1 Li 0.086 0.142 0.119
Li2 Li 0.099 0.660 0.879
Li3 Li 0.139 0.621 0.154
Li4 Li 0.150 0.104 0.383
Li5 Li 0.160 0.612 0.608
B1 B 0.117 0.133 0.857
O1 O 0.009 0.241 0.948
O2 O 0.017 0.026 0.767
O3 O 0.218 0.231 0.756
O4 O 0.225 0.051 0.971
# distance to the lowest polymorph of the same formula	13	meV per atom

# Mg5Si9 PBE optimized geometry
data_Mg5Si9
_chemical_formula_sum 'Mg10 Si18'
_cell_length_a 6.952
_cell_length_b 7.086
_cell_length_c 12.602
_cell_angle_alpha 76.54
_cell_angle_beta 82.95
_cell_angle_gamma 62.96
_symmetry_space_group_name_H-M 'P 1'
_symmetry_Int_Tables_number 1
loop_
_symmetry_equiv_pos_as_xyz
'x,y,z'
loop_
_atom_site_label
_atom_site_type_symbol
_atom_site_fract_x
_atom_site_fract_y
_atom_site_fract_z
Mg1 Mg 0.000 0.000 0.000
Mg2 Mg 0.002 0.377 0.353
Mg3 Mg 0.134 0.492 0.088
Mg4 Mg 0.189 0.088 0.762
Mg5 Mg 0.219 0.503 0.519
Mg6 Mg 0.401 0.950 0.540
Mg7 Mg 0.430 0.133 0.982
Mg8 Mg 0.617 0.707 0.149
Mg9 Mg 0.761 0.701 0.726
Mg10 Mg 0.851 0.191 0.206
Si1 Si 0.026 0.390 0.897
Si2 Si 0.114 0.822 0.661
Si3 Si 0.248 0.795 0.326
Si4 Si 0.292 0.458 0.768
Si5 Si 0.310 0.080 0.207
Si6 Si 0.444 0.176 0.341
Si7 Si 0.453 0.755 0.925
Si8 Si 0.516 0.175 0.666
Si9 Si 0.554 0.447 0.337
Si10 Si 0.560 0.407 0.042
Si11 Si 0.637 0.401 0.847
Si12 Si 0.693 0.308 0.515
Si13 Si 0.775 0.856 0.390
Si14 Si 0.801 0.565 0.541
Si15 Si 0.810 0.752 0.936
Si16 Si 0.824 0.029 0.784
Si17 Si 0.986 0.975 0.474
Si18 Si 0.991 0.768 0.225
# distance to the lowest polymorph of the same formula	7	meV per atom

| no. | calculated formation energy (eV per atom) |
| --- | --- |
| 1 | -3.304 |
| 2 | -2.136 |
| 3 | -2.348 |
| 4 | 0.158 |